(1)
DFT (r2SCAN) results for an optimized crystal structure of CuBr2.

a b c (Å): 7.2347 3.5115 7.2764
angles (deg): 90.00 119.70 90.00
Last column: nearest neighbours and their distance in Å.
Space group C2/m (No. 12)
One atom of each set of equivalent atoms:
Cu 0.0000 0.0000 0.0000 (multiplicity 2)  4 Br 2.43
Br 0.0032 0.5000 0.2315 (multiplicity 4)  2 Cu 2.43

ΔE_f   -437 meV/atom



(2)
DFT (r2SCAN) results for an optimized crystal structure of Ba7B4S13.

a b c (Å): 10.2651 24.1968 10.2585
angles (deg): 90.00 90.08 90.00
Last column: nearest neighbours and their distance in Å.
Space group C2/c (No. 15)
One atom of each set of equivalent atoms:
Ba 0.0000 0.0022 0.2500 (multiplicity 4)  8 S 3.23-3.33, 2 B 3.50
Ba 0.0000 0.1683 0.7500 (multiplicity 4)  7 S 3.08-3.40
Ba 0.0000 0.4915 0.7500 (multiplicity 4)  8 S 3.27-3.42, 2 B 3.60
Ba 0.1059 0.3279 0.0301 (multiplicity 8)  8 S 3.15-3.39, 2 B 3.46-3.50
Ba 0.2204 0.1748 0.3559 (multiplicity 8)  8 S 3.13-3.43, 1 B 3.50
B 0.0990 0.1171 0.0677 (multiplicity 8)  3 S 1.81-1.85
B 0.1799 0.3879 0.3499 (multiplicity 8)  3 S 1.81-1.86
S 0.0000 0.2956 0.7500 (multiplicity 4)  5 Ba 3.08-3.17
S 0.0426 0.0825 0.4981 (multiplicity 8)  1 B 1.81
S 0.0983 0.1936 0.0614 (multiplicity 8)  1 B 1.85
S 0.1009 0.4238 0.4839 (multiplicity 8)  1 B 1.82
S 0.1873 0.3111 0.3477 (multiplicity 8)  1 B 1.86
S 0.2326 0.0809 0.1467 (multiplicity 8)  1 B 1.82
S 0.2423 0.4230 0.2076 (multiplicity 8)  1 B 1.81

ΔE_f   -1689 meV/atom



(3)
DFT (r2SCAN) results for an optimized crystal structure of CsIOF4.

a b c (Å): 6.1436 6.0285 15.3007
angles (deg): 90.00 90.00 90.00
Last column: nearest neighbours and their distance in Å.
Space group Pnma (No. 62)
One atom of each set of equivalent atoms:
Cs 0.2155 0.2500 0.1019 (multiplicity 4)  8 F 3.14-3.27, 3 O 3.27-3.39
I 0.2288 0.2500 0.8381 (multiplicity 4)  1 O 1.75
O 0.0112 0.7500 0.1002 (multiplicity 4)  1 I 1.75
F 0.0973 0.0158 0.7614 (multiplicity 8)  1 I 2.01
F 0.1514 0.5199 0.4162 (multiplicity 8)  1 I 1.97

ΔE_f   -1904 meV/atom



(4)
DFT (r2SCAN) results for an optimized crystal structure of LaHBr2.

a b c (Å): 4.1152 4.1152 14.8323
angles (deg): 90.00 90.00 120.00
Last column: nearest neighbours and their distance in Å.
Space group P6_3/mmc (No. 194)
One atom of each set of equivalent atoms:
La 0.0000 0.0000 0.2500 (multiplicity 2)  3 H 2.38
H 0.3333 0.6667 0.2500 (multiplicity 2)  3 La 2.38
Br 0.3333 0.6667 0.6185 (multiplicity 4)  3 La 3.07, 3 H 3.07

ΔE_f   -1846 meV/atom



(5)
DFT (r2SCAN) results for an optimized crystal structure of YMgAl.

a b c (Å): 7.3573 7.3573 4.5503
angles (deg): 90.00 90.00 120.00
Last column: nearest neighbours and their distance in Å.
Space group P-62m (No. 189)
One atom of each set of equivalent atoms:
Y 0.0000 0.5671 0.0000 (multiplicity 3)  5 Al 3.15-3.19, 2 Mg 3.30
Mg 0.0000 0.2418 0.5000 (multiplicity 3)  4 Al 2.85-2.89, 2 Mg 3.08
Al 0.0000 0.0000 0.0000 (multiplicity 1)  6 Mg 2.89, 3 Y 3.19
Al 0.3333 0.6667 0.5000 (multiplicity 2)  3 Mg 2.85, 6 Y 3.15

ΔE_f   -361 meV/atom



(6)
DFT (r2SCAN) results for an optimized crystal structure of HfMgN2.

a b c (Å): 6.3666 4.4037 7.3768
angles (deg): 90.00 90.00 90.00
Last column: nearest neighbours and their distance in Å.
Space group Pnma (No. 62)
One atom of each set of equivalent atoms:
Hf 0.0878 0.2500 0.1305 (multiplicity 4)  5 N 2.07-2.21
Mg 0.0792 0.2500 0.6182 (multiplicity 4)  5 N 2.12-2.21
N 0.0793 0.7500 0.1147 (multiplicity 4)  3 Hf 2.10-2.21, 2 Mg 2.17-2.21
N 0.0847 0.7500 0.6324 (multiplicity 4)  2 Hf 2.07-2.09, 3 Mg 2.12-2.20

ΔE_f   -1697 meV/atom



(7)
DFT (r2SCAN) results for an optimized crystal structure of Zr6MnCl14.

a b c (Å): 14.6650 12.8242 11.8950
angles (deg): 90.00 90.00 90.00
Last column: nearest neighbours and their distance in Å.
Space group Cmce (No. 64)
One atom of each set of equivalent atoms:
Zr 0.0000 0.1504 0.1085 (multiplicity 8)  1 Mn 2.32, 4 Cl 2.56
Zr 0.1216 0.0748 0.8790 (multiplicity 16)  1 Mn 2.48, 5 Cl 2.54-2.66
Mn 0.0000 0.0000 0.0000 (multiplicity 4)  6 Zr 2.32-2.48
Cl 0.0000 0.1599 0.7409 (multiplicity 8)  3 Zr 2.66-2.90
Cl 0.1224 0.0859 0.2458 (multiplicity 16)  2 Zr 2.54-2.56
Cl 0.1222 0.2435 0.9913 (multiplicity 16)  2 Zr 2.54-2.56
Cl 0.2488 0.0000 0.0000 (multiplicity 8)  2 Zr 2.54
Cl 0.2500 0.1565 0.7500 (multiplicity 8)  2 Zr 2.64

ΔE_f   -1847 meV/atom



(8)
DFT (r2SCAN) results for an optimized crystal structure of Nb3TeI7.

a b c (Å): 7.7354 7.7354 7.1534
angles (deg): 90.00 90.00 120.00
Last column: nearest neighbours and their distance in Å.
Space group P3m1 (No. 156)
One atom of each set of equivalent atoms:
Nb 0.2016 0.4032 0.0000 (multiplicity 3)  1 Te 2.72, 4 I 2.76-2.95
Te 0.3333 0.6667 0.7108 (multiplicity 1)  3 Nb 2.72
I 0.0000 0.0000 0.2080 (multiplicity 1)  3 Nb 3.08
I 0.3339 0.1670 0.7821 (multiplicity 3)  2 Nb 2.95
I 0.5017 0.0034 0.2575 (multiplicity 3)  2 Nb 2.76

ΔE_f   -667 meV/atom



(9)
DFT (r2SCAN) results for an optimized crystal structure of Nd3Co.

a b c (Å): 7.0260 9.8902 6.5028
angles (deg): 90.00 90.00 90.00
Last column: nearest neighbours and their distance in Å.
Space group Pnma (No. 62)
One atom of each set of equivalent atoms:
Nd 0.0524 0.2500 0.1441 (multiplicity 4)  2 Co 2.67-2.90
Nd 0.1623 0.0701 0.6788 (multiplicity 8)  2 Co 2.76-2.95
Co 0.1137 0.7500 0.4471 (multiplicity 4)  6 Nd 2.67-2.95

ΔE_f   18 meV/atom



(10)
DFT (r2SCAN) results for an optimized crystal structure of CsPd2Cl5.

a b c (Å): 15.9159 10.6041 5.3861
angles (deg): 90.00 90.00 90.00
Last column: nearest neighbours and their distance in Å.
Space group Pnma (No. 62)
One atom of each set of equivalent atoms:
Cs 0.2324 0.2500 0.1020 (multiplicity 4)  9 Cl 3.54-3.93
Pd 0.0486 0.5842 0.2708 (multiplicity 8)  4 Cl 2.28-2.34
Cl 0.0115 0.7500 0.0161 (multiplicity 4)  2 Pd 2.31
Cl 0.0835 0.0794 0.5397 (multiplicity 8)  2 Pd 2.33-2.34
Cl 0.1803 0.5746 0.1055 (multiplicity 8)  1 Pd 2.28

ΔE_f   -1017 meV/atom



(11)
DFT (r2SCAN) results for an optimized crystal structure of Be4NbMo.

a b c (Å): 4.5428 4.5428 7.4119
angles (deg): 90.00 90.00 120.00
Last column: nearest neighbours and their distance in Å.
Space group P-3m1 (No. 164)
One atom of each set of equivalent atoms:
Be 0.0000 0.0000 0.0000 (multiplicity 1)  6 Be 2.26
Be 0.0000 0.0000 0.5000 (multiplicity 1)  6 Be 2.32
Be 0.1710 0.3420 0.2456 (multiplicity 6)  6 Be 2.21-2.33
Nb 0.3333 0.6667 0.5703 (multiplicity 2)  12 Be 2.65-2.72, 1 Mo 2.75, 3 Nb 2.82
Mo 0.3333 0.6667 0.9407 (multiplicity 2)  12 Be 2.60-2.66, 1 Nb 2.75, 3 Mo 2.77

ΔE_f   -277 meV/atom



(12)
DFT (r2SCAN) results for an optimized crystal structure of ZrBr.

a b c (Å): 6.1092 3.5433 10.0368
angles (deg): 90.00 105.62 90.00
Last column: nearest neighbours and their distance in Å.
Space group C2/m (No. 12)
One atom of each set of equivalent atoms:
Zr 0.2206 0.0000 0.1207 (multiplicity 4)  3 Br 2.78, 3 Zr 3.10
Br 0.1409 0.5000 0.3156 (multiplicity 4)  3 Zr 2.78

ΔE_f   -1185 meV/atom
Energy above the most stable polymorph in this dataset   1 meV/atom